[1]
Entry from the Materials Project database: a geometry-optimized KRuN structure (GGA-PBE).

a b c (Å): 4.928 4.936 10.463
angles (deg): 90.00 90.05 90.00
Space group Cc (No. 9)
Inequivalent atoms, fractional coordinates:
K 0.000 0.000 0.000 [4 per cell]
Ru 0.000 0.499 0.255 [4 per cell]
N 0.250 0.251 0.709 [4 per cell]

## Properties
- M_tot: 0.0004 μB per atom
- DFT total energy: -5.81 eV/atom
- Formation enthalpy at 0 K: 313 meV per atom
- Energy above the lowest structure with this stoichiometry: 0.2552 eV per atom


[2]
Entry from the Materials Project database: a geometry-optimized PtPbF6 structure (GGA-PBE).

a b c (Å): 7.4404 7.4404 7.1840
angles (deg): 90.00 90.00 120.00
Space group R-3m (No. 166, hexagonal axes)
Inequivalent atoms, fractional coordinates:
Pt 0.0000 0.0000 0.0000 [3 per cell]
Pb 0.0000 0.0000 0.5000 [3 per cell]
F 0.0978 0.5489 0.8423 [18 per cell]

## Properties
- DFT total energy: -4.40 eV/atom
- Formation enthalpy at 0 K: -2089 meV per atom


[3]
Entry from the Materials Project database: a geometry-optimized SiO2 structure (GGA-PBE).

a b c (Å): 5.178 5.590 6.596
angles (deg): 110.14 90.20 96.97
Space group P1 (No. 1)
Inequivalent atoms, fractional coordinates:
Si 0.000 0.000 0.000 [1 per cell]
Si 0.110 0.417 0.434 [1 per cell]
Si 0.479 0.836 0.692 [1 per cell]
Si 0.852 0.893 0.401 [1 per cell]
O 0.105 0.288 0.170 [1 per cell]
O 0.240 0.935 0.844 [1 per cell]
O 0.390 0.524 0.575 [1 per cell]
O 0.547 0.913 0.474 [1 per cell]
O 0.736 0.963 0.853 [1 per cell]
O 0.913 0.818 0.145 [1 per cell]
O 0.950 0.665 0.474 [1 per cell]
O 0.990 0.190 0.524 [1 per cell]

## Properties
- M_tot: 0.0001 μB per atom
- DFT total energy: -7.77 eV/atom
- Formation enthalpy at 0 K: -3121 meV per atom
- Piezoelectric modulus e_max: 0.3 C/m2


[4]
Entry from the Materials Project database: a geometry-optimized K3Bi3P4S16 structure (GGA-PBE).

a b c (Å): 21.092 21.092 13.757
angles (deg): 90.00 90.00 90.00
Space group P4/ncc (No. 130, origin choice 2)
Inequivalent atoms, fractional coordinates:
K 0.028 0.242 0.077 [16 per cell]
K 0.250 0.250 0.031 [4 per cell]
K 0.250 0.750 0.250 [4 per cell]
Bi 0.006 0.101 0.361 [16 per cell]
Bi 0.100 0.600 0.750 [8 per cell]
P 0.063 0.748 0.168 [16 per cell]
P 0.065 0.078 0.629 [16 per cell]
S 0.012 0.604 0.341 [16 per cell]
S 0.025 0.565 0.926 [16 per cell]
S 0.034 0.227 0.335 [16 per cell]
S 0.059 0.123 0.761 [16 per cell]
S 0.085 0.678 0.580 [16 per cell]
S 0.096 0.726 0.805 [16 per cell]
S 0.107 0.667 0.124 [16 per cell]
S 0.118 0.125 0.528 [16 per cell]

## Properties
- M_tot: 0.0000 μB per atom
- DFT total energy: -4.48 eV/atom
- Formation enthalpy at 0 K: -836 meV per atom


[5]
Entry from the Materials Project database: a geometry-optimized LiCaBO3 structure (GGA-PBE).

a b c (Å): 6.107 6.162 13.415
angles (deg): 90.00 90.00 90.00
Space group Ibca (No. 73)
Inequivalent atoms, fractional coordinates:
Li 0.250 0.019 0.000 [8 per cell]
Ca 0.000 0.250 0.181 [8 per cell]
B 0.000 0.250 0.399 [8 per cell]
O 0.000 0.250 0.002 [8 per cell]
O 0.140 0.112 0.846 [16 per cell]

## Properties
- M_tot: 0.0000 μB per atom
- DFT total energy: -6.91 eV/atom
- Formation enthalpy at 0 K: -3009 meV per atom
- Energy above the lowest structure with this stoichiometry: 0.0025 eV per atom


[6]
Entry from the Materials Project database: a geometry-optimized AlCr4AgS8 structure (GGA-PBE).

a b c (Å): 10.127 10.127 10.127
angles (deg): 90.00 90.00 90.00
Space group F-43m (No. 216)
Inequivalent atoms, fractional coordinates:
Al 0.000 0.000 0.000 [4 per cell]
Cr 0.122 0.122 0.378 [16 per cell]
Ag 0.250 0.250 0.750 [4 per cell]
S 0.110 0.110 0.610 [16 per cell]
S 0.133 0.133 0.133 [16 per cell]

## Properties
- M_tot: 0.8570 μB per atom
- DFT total energy: -6.32 eV/atom
- Formation enthalpy at 0 K: -1012 meV per atom
- Piezoelectric modulus e_max: 0.0 C/m2